DFT (GGA+U) results for an optimized crystal structure of CaMn2O4.

Calculated values
Energy above the lowest structure with this stoichiometry in meV/atom: 39

abc: 3.319 5.076 5.938
angles: 67.79 80.32 82.43
Fractional coordinates of all 7 atoms:
Mn  0.555  0.531  0.960
Mn  0.945  0.969  0.040
O  0.103  0.782  0.801
O  0.397  0.718  0.199
O  0.843  0.226  0.217
O  0.657  0.274  0.783
Ca  0.250  0.250  0.500

---

DFT (GGA+U) results for an optimized crystal structure of CaMn4O8.

Calculated values
Energy above the lowest structure with this stoichiometry in meV/atom: 54

abc: 6.266 10.380 10.660
angles: 108.23 92.59 89.44
Fractional coordinates of all 52 atoms:
Mn  0.256  0.493  0.750
Mn  0.731  0.502  0.237
Mn  0.021  0.753  0.764
Mn  0.980  0.237  0.733
Mn  0.259  0.004  0.254
Mn  0.473  0.245  0.233
Mn  0.742  0.004  0.750
Mn  0.531  0.762  0.265
Mn  0.772  0.761  0.508
Mn  0.229  0.240  0.487
Mn  0.519  0.755  0.767
Mn  0.485  0.238  0.737
Mn  0.026  0.760  0.268
Mn  0.715  0.250  0.986
Mn  0.977  0.243  0.239
Mn  0.287  0.750  0.010
Ca  0.248  0.912  0.557
Ca  0.205  0.447  0.038
Ca  0.732  0.434  0.543
Ca  0.769  0.920  0.059
O  0.225  0.854  0.895
O  0.732  0.868  0.391
O  0.443  0.360  0.624
O  0.239  0.341  0.825
O  0.011  0.686  0.410
O  0.491  0.343  0.104
O  0.271  0.642  0.678
O  0.721  0.131  0.648
O  0.184  0.346  0.371
O  0.754  0.144  0.110
O  0.049  0.105  0.366
O  0.934  0.142  0.864
O  0.227  0.127  0.152
O  0.107  0.608  0.898
O  0.912  0.378  0.110
O  0.318  0.652  0.144
O  0.287  0.869  0.348
O  0.524  0.679  0.908
O  0.478  0.882  0.152
O  0.012  0.337  0.609
O  0.523  0.122  0.851
O  0.772  0.657  0.173
O  0.722  0.360  0.324
O  0.266  0.135  0.613
O  0.948  0.893  0.642
O  0.769  0.873  0.846
O  0.573  0.639  0.374
O  0.451  0.144  0.365
O  0.685  0.350  0.862
O  0.067  0.859  0.141
O  0.800  0.652  0.632
O  0.549  0.860  0.639

---

DFT (GGA+U) results for an optimized crystal structure of CaMnO3.

abc: 5.333 5.399 7.571
angles: 90.00 90.00 90.00
Fractional coordinates of all 20 atoms:
O  0.794  0.792  0.460
O  0.922  0.518  0.750
O  0.706  0.292  0.460
O  0.206  0.208  0.960
O  0.294  0.708  0.960
O  0.294  0.708  0.540
O  0.794  0.792  0.040
O  0.422  0.982  0.250
O  0.578  0.018  0.750
O  0.706  0.292  0.040
O  0.078  0.482  0.250
O  0.206  0.208  0.540
Mn  0.500  0.000  0.500
Mn  0.000  0.500  0.500
Mn  0.500  0.000  0.000
Mn  0.000  0.500  0.000
Ca  0.008  0.956  0.750
Ca  0.492  0.456  0.750
Ca  0.508  0.544  0.250
Ca  0.992  0.044  0.250

---

DFT (GGA+U) results for an optimized crystal structure of CaMn3O6.

Calculated values
Energy above the lowest structure with this stoichiometry in meV/atom: 0

abc: 11.423 8.720 10.885
angles: 57.36 90.00 90.00
Fractional coordinates of all 80 atoms:
O  0.023  0.662  0.382
O  0.704  0.935  0.961
O  0.196  0.403  0.523
O  0.522  0.671  0.113
O  0.477  0.662  0.882
O  0.089  0.869  0.076
O  0.922  0.459  0.929
O  0.665  0.289  0.693
O  0.589  0.131  0.424
O  0.917  0.803  0.933
O  0.204  0.065  0.539
O  0.649  0.605  0.710
O  0.083  0.197  0.067
O  0.804  0.597  0.477
O  0.578  0.459  0.429
O  0.512  0.003  0.127
O  0.411  0.869  0.576
O  0.351  0.395  0.290
O  0.422  0.541  0.571
O  0.199  0.728  0.532
O  0.523  0.338  0.118
O  0.301  0.728  0.032
O  0.699  0.272  0.968
O  0.851  0.605  0.210
O  0.151  0.052  0.792
O  0.417  0.197  0.567
O  0.349  0.052  0.292
O  0.304  0.403  0.023
O  0.478  0.329  0.887
O  0.012  0.997  0.373
O  0.335  0.711  0.307
O  0.296  0.065  0.039
O  0.796  0.935  0.461
O  0.165  0.711  0.807
O  0.583  0.803  0.433
O  0.022  0.329  0.387
O  0.696  0.597  0.977
O  0.911  0.131  0.924
O  0.651  0.948  0.708
O  0.801  0.272  0.468
O  0.835  0.289  0.193
O  0.978  0.671  0.613
O  0.149  0.395  0.790
O  0.988  0.003  0.627
O  0.849  0.948  0.208
O  0.078  0.541  0.071
O  0.977  0.338  0.618
O  0.488  0.997  0.873
Ca  0.333  0.554  0.751
Ca  0.834  0.058  0.743
Ca  0.667  0.446  0.249
Ca  0.334  0.942  0.757
Ca  0.666  0.058  0.243
Ca  0.166  0.942  0.257
Ca  0.167  0.554  0.251
Ca  0.833  0.446  0.749
Mn  0.396  0.796  0.431
Mn  0.896  0.204  0.069
Mn  0.618  0.544  0.556
Mn  0.104  0.796  0.931
Mn  0.118  0.130  0.928
Mn  0.095  0.529  0.582
Mn  0.882  0.544  0.056
Mn  0.405  0.529  0.082
Mn  0.904  0.806  0.417
Mn  0.118  0.456  0.944
Mn  0.618  0.870  0.572
Mn  0.097  0.860  0.591
Mn  0.882  0.870  0.072
Mn  0.404  0.194  0.083
Mn  0.905  0.471  0.418
Mn  0.597  0.140  0.909
Mn  0.604  0.204  0.569
Mn  0.596  0.806  0.917
Mn  0.403  0.860  0.091
Mn  0.382  0.130  0.428
Mn  0.903  0.140  0.409
Mn  0.382  0.456  0.444
Mn  0.096  0.194  0.583
Mn  0.595  0.471  0.918

---

DFT (GGA+U) results for an optimized crystal structure of CaMn7O12.

Calculated values
Energy above the lowest structure with this stoichiometry in meV/atom: 1

abc: 6.465 6.508 6.508
angles: 109.59 109.35 109.35
Fractional coordinates of all 20 atoms:
O  0.179  0.700  0.867
O  0.479  0.168  0.300
O  0.821  0.300  0.133
O  0.869  0.175  0.679
O  0.810  0.680  0.505
O  0.131  0.825  0.321
O  0.305  0.495  0.175
O  0.695  0.505  0.825
O  0.190  0.320  0.495
O  0.689  0.867  0.168
O  0.311  0.133  0.832
O  0.521  0.832  0.700
Mn  0.500  0.000  0.000
Mn  0.000  0.500  0.500
Mn  0.500  0.500  0.000
Mn  0.500  0.500  0.500
Mn  0.000  0.500  0.000
Mn  0.500  0.000  0.500
Mn  0.000  0.000  0.500
Ca  0.000  0.000  0.000

---

DFT (GGA+U) results for an optimized crystal structure of Ca2Mn9O13.

abc: 5.438 5.438 17.180
angles: 81.35 81.35 33.81
Fractional coordinates of all 24 atoms:
Mn  0.653  0.653  0.960
Mn  0.000  0.000  0.667
Mn  0.758  0.758  0.580
Mn  0.947  0.947  0.877
Mn  0.242  0.242  0.420
Mn  0.347  0.347  0.040
Mn  0.500  0.500  0.500
Mn  0.053  0.053  0.123
Mn  0.000  0.000  0.333
Ca  0.229  0.229  0.770
Ca  0.771  0.771  0.230
O  0.361  0.361  0.321
O  0.884  0.884  0.773
O  0.000  0.000  0.000
O  0.593  0.593  0.859
O  0.639  0.639  0.679
O  0.858  0.858  0.469
O  0.407  0.407  0.141
O  0.384  0.384  0.614
O  0.699  0.699  0.067
O  0.142  0.142  0.531
O  0.301  0.301  0.933
O  0.116  0.116  0.227
O  0.616  0.616  0.386

---

In eV/atom, the energy of formation from the pure elements values for the records above are, in order, -2.41, -2.11, -2.50, -2.28, -2.13, -2.20.